Here is a relaxed Sr2NdMn3O9 crystal from the Materials Project database. Energies are from PBE+U.

extended XYZ file:
```
30
Lattice="2.721 4.827 0.000 -2.721 4.827 0.000 0.000 0.414 13.455" Properties=species:S:1:pos:R:3 pbc="T T T"
Sr 0.010 8.420 12.336
Sr -0.010 1.648 1.118
Sr -0.010 8.213 5.609
Sr 0.010 1.855 7.846
Mn -0.001 1.752 4.486
Mn -0.001 8.109 2.241
Mn 0.001 8.316 8.968
Mn 0.000 4.827 0.000
Mn 0.000 5.034 6.727
Mn 0.001 1.959 11.214
O -0.003 3.634 12.261
O 2.672 4.931 3.364
O -1.112 4.162 8.094
O 0.003 6.434 1.194
O -1.111 2.733 3.206
O -1.567 5.682 5.763
O -1.111 7.128 3.521
O 1.111 7.335 10.249
O 1.112 3.956 1.366
O 1.567 4.386 7.692
O 1.112 5.906 5.361
O -1.112 6.113 12.088
O 1.567 5.889 12.490
O 1.111 2.940 9.933
O -2.672 5.138 10.091
O -1.567 4.179 0.964
O -0.003 6.641 7.921
O 0.003 3.428 5.534
Nd 0.027 5.138 10.091
Nd -0.027 4.931 3.364
```

Computed properties:
E_form (eV per atom): -2.65
V (Å³/atom): 11.784
Final energy (eV/atom): -7.25